A plane-wave DFT calculation with PBE-GGA was carried out for a relaxed Li3TiSi6O15 crystal.

abc: 11.0639 11.0639 10.2066
angles: 90.00 90.00 100.10
Closest atoms and distances in Å follow each position.
Fractional coordinates of all 100 atoms:
Li (0.0213, 0.4787, 0.7500)  2 O 1.97
Li (0.0630, 0.9370, 0.8009)  2 O 2.03-2.19
Li (0.2345, 0.2345, 0.0000)  4 O 2.03-2.06
Li (0.2655, 0.2655, 0.5000)  4 O 2.03-2.06
Li (0.4370, 0.5630, 0.3009)  2 O 2.03-2.19
Li (0.4787, 0.0213, 0.2500)  2 O 1.97
Li (0.5213, 0.9787, 0.7500)  2 O 1.97
Li (0.5630, 0.4370, 0.6991)  2 O 2.03-2.19
Li (0.7345, 0.7345, 0.5000)  4 O 2.03-2.06
Li (0.7655, 0.7655, 0.0000)  4 O 2.03-2.06
Li (0.9370, 0.0630, 0.1991)  2 O 2.03-2.19
Li (0.9787, 0.5213, 0.2500)  2 O 1.97
Ti (0.1560, 0.3440, 0.2500)  6 O 2.02-2.13
Ti (0.3440, 0.1560, 0.7500)  6 O 2.02-2.13
Ti (0.6560, 0.8440, 0.2500)  6 O 2.02-2.13
Ti (0.8440, 0.6560, 0.7500)  6 O 2.02-2.13
Si (0.0168, 0.7653, 0.4834)  4 O 1.60-1.67
Si (0.0399, 0.1896, 0.8069)  4 O 1.60-1.65
Si (0.0817, 0.7001, 0.9551)  4 O 1.60-1.68
Si (0.1896, 0.0399, 0.1931)  4 O 1.60-1.65
Si (0.2001, 0.5817, 0.4551)  4 O 1.60-1.68
Si (0.2347, 0.9832, 0.4834)  4 O 1.60-1.67
Si (0.2653, 0.5168, 0.9834)  4 O 1.60-1.67
Si (0.2999, 0.9183, 0.9551)  4 O 1.60-1.68
Si (0.3104, 0.4601, 0.6931)  4 O 1.60-1.65
Si (0.4183, 0.7999, 0.4551)  4 O 1.60-1.68
Si (0.4601, 0.3104, 0.3069)  4 O 1.60-1.65
Si (0.4832, 0.7347, 0.9834)  4 O 1.60-1.67
Si (0.5168, 0.2653, 0.0166)  4 O 1.60-1.67
Si (0.5399, 0.6896, 0.6931)  4 O 1.60-1.65
Si (0.5817, 0.2001, 0.5449)  4 O 1.60-1.68
Si (0.6896, 0.5399, 0.3069)  4 O 1.60-1.65
Si (0.7001, 0.0817, 0.0449)  4 O 1.60-1.68
Si (0.7347, 0.4832, 0.0166)  4 O 1.60-1.67
Si (0.7653, 0.0168, 0.5166)  4 O 1.60-1.67
Si (0.7999, 0.4183, 0.5449)  4 O 1.60-1.68
Si (0.8104, 0.9601, 0.8069)  4 O 1.60-1.65
Si (0.9183, 0.2999, 0.0449)  4 O 1.60-1.68
Si (0.9601, 0.8104, 0.1931)  4 O 1.60-1.65
Si (0.9832, 0.2347, 0.5166)  4 O 1.60-1.67
O (0.0112, 0.2831, 0.9227)  2 Si 1.64-1.65
O (0.0120, 0.6393, 0.8279)  1 Si 1.60
O (0.0312, 0.2657, 0.6698)  2 Si 1.65-1.67
O (0.0663, 0.9337, 0.1948)  2 Si 1.64
O (0.0929, 0.9071, 0.4921)  2 Si 1.65
O (0.0973, 0.2557, 0.4182)  1 Si 1.60
O (0.1145, 0.6737, 0.5157)  2 Si 1.63-1.64
O (0.1393, 0.5120, 0.3279)  1 Si 1.60
O (0.1403, 0.1656, 0.1659)  1 Si 1.60
O (0.1602, 0.8398, 0.9177)  2 Si 1.68
O (0.1656, 0.1403, 0.8341)  1 Si 1.60
O (0.1737, 0.6145, 0.0157)  2 Si 1.63-1.64
O (0.2169, 0.4888, 0.5773)  2 Si 1.64-1.65
O (0.2343, 0.4688, 0.8302)  2 Si 1.65-1.67
O (0.2443, 0.4027, 0.0818)  1 Si 1.60
O (0.2557, 0.0973, 0.5818)  1 Si 1.60
O (0.2657, 0.0312, 0.3302)  2 Si 1.65-1.67
O (0.2831, 0.0112, 0.0773)  2 Si 1.64-1.65
O (0.3263, 0.8855, 0.5157)  2 Si 1.63-1.64
O (0.3344, 0.3597, 0.3341)  1 Si 1.60
O (0.3398, 0.6602, 0.4177)  2 Si 1.68
O (0.3597, 0.3344, 0.6659)  1 Si 1.60
O (0.3607, 0.9880, 0.8279)  1 Si 1.60
O (0.3855, 0.8263, 0.0157)  2 Si 1.63-1.64
O (0.4027, 0.2443, 0.9182)  1 Si 1.60
O (0.4071, 0.5929, 0.9921)  2 Si 1.65
O (0.4337, 0.5663, 0.6948)  2 Si 1.64
O (0.4688, 0.2343, 0.1698)  2 Si 1.65-1.67
O (0.4880, 0.8607, 0.3279)  1 Si 1.60
O (0.4888, 0.2169, 0.4227)  2 Si 1.64-1.65
O (0.5112, 0.7831, 0.5773)  2 Si 1.64-1.65
O (0.5120, 0.1393, 0.6721)  1 Si 1.60
O (0.5312, 0.7657, 0.8302)  2 Si 1.65-1.67
O (0.5663, 0.4337, 0.3052)  2 Si 1.64
O (0.5929, 0.4071, 0.0079)  2 Si 1.65
O (0.5973, 0.7557, 0.0818)  1 Si 1.60
O (0.6145, 0.1737, 0.9843)  2 Si 1.63-1.64
O (0.6393, 0.0120, 0.1721)  1 Si 1.60
O (0.6403, 0.6656, 0.3341)  1 Si 1.60
O (0.6602, 0.3398, 0.5823)  2 Si 1.68
O (0.6656, 0.6403, 0.6659)  1 Si 1.60
O (0.6737, 0.1145, 0.4843)  2 Si 1.63-1.64
O (0.7169, 0.9888, 0.9227)  2 Si 1.64-1.65
O (0.7343, 0.9688, 0.6698)  2 Si 1.65-1.67
O (0.7443, 0.9027, 0.4182)  1 Si 1.60
O (0.7557, 0.5973, 0.9182)  1 Si 1.60
O (0.7657, 0.5312, 0.1698)  2 Si 1.65-1.67
O (0.7831, 0.5112, 0.4227)  2 Si 1.64-1.65
O (0.8263, 0.3855, 0.9843)  2 Si 1.63-1.64
O (0.8344, 0.8597, 0.1659)  1 Si 1.60
O (0.8398, 0.1602, 0.0823)  2 Si 1.68
O (0.8597, 0.8344, 0.8341)  1 Si 1.60
O (0.8607, 0.4880, 0.6721)  1 Si 1.60
O (0.8855, 0.3263, 0.4843)  2 Si 1.63-1.64
O (0.9027, 0.7443, 0.5818)  1 Si 1.60
O (0.9071, 0.0929, 0.5079)  2 Si 1.65
O (0.9337, 0.0663, 0.8052)  2 Si 1.64
O (0.9688, 0.7343, 0.3302)  2 Si 1.65-1.67
O (0.9880, 0.3607, 0.1721)  1 Si 1.60
O (0.9888, 0.7169, 0.0773)  2 Si 1.64-1.65

ΔE_f = -77.1 eV per formula unit
ΔE to the lowest computed polymorph = 0 meV/atom
Total moment = 1.000 μB per formula unit
Symmetry = No. 64
Raw total energy = -748.7 eV per cell
Crystal system = orthorhombic



A plane-wave DFT calculation with PBE-GGA was carried out for a relaxed Li4Ti2Si4O13 crystal.

abc: 13.8129 5.0757 14.2042
angles: 90.00 90.00 90.00
Closest atoms and distances in Å follow each position.
Fractional coordinates of all 92 atoms:
Li (0.0404, 0.1786, 0.0000)  3 O 1.97-2.09
Li (0.1083, 0.6681, 0.3004)  3 O 2.03-2.26
Li (0.1340, 0.6553, 0.1135)  3 O 2.03-2.11
Li (0.2117, 0.2500, 0.3850)  2 O 1.92-2.01
Li (0.2883, 0.7500, 0.8850)  2 O 1.92-2.01
Li (0.3660, 0.1553, 0.6135)  3 O 2.03-2.11
Li (0.3917, 0.1681, 0.8004)  3 O 2.03-2.26
Li (0.4596, 0.6786, 0.5000)  3 O 1.97-2.09
Li (0.5404, 0.3214, 0.0000)  3 O 1.97-2.09
Li (0.6083, 0.8319, 0.3004)  3 O 2.03-2.26
Li (0.6340, 0.8447, 0.1135)  3 O 2.03-2.11
Li (0.7117, 0.2500, 0.3850)  2 O 1.92-2.01
Li (0.7883, 0.7500, 0.8850)  2 O 1.92-2.01
Li (0.8660, 0.3447, 0.6135)  3 O 2.03-2.11
Li (0.8917, 0.3319, 0.8004)  3 O 2.03-2.26
Li (0.9596, 0.8214, 0.5000)  3 O 1.97-2.09
Ti (0.0825, 0.3505, 0.5980)  6 O 1.98-2.14
Ti (0.1690, 0.1866, 0.7980)  6 O 1.99-2.16
Ti (0.3310, 0.6866, 0.2980)  6 O 1.99-2.16
Ti (0.4175, 0.8505, 0.0980)  6 O 1.98-2.14
Ti (0.5825, 0.1495, 0.5980)  6 O 1.98-2.14
Ti (0.6690, 0.3134, 0.7980)  6 O 1.99-2.16
Ti (0.8310, 0.8134, 0.2980)  6 O 1.99-2.16
Ti (0.9175, 0.6495, 0.0980)  6 O 1.98-2.14
Si (0.0218, 0.1616, 0.2228)  4 O 1.61-1.69
Si (0.0615, 0.6896, 0.9057)  4 O 1.62-1.70
Si (0.1895, 0.8456, 0.4929)  4 O 1.62-1.69
Si (0.2251, 0.1815, 0.1744)  4 O 1.62-1.69
Si (0.2749, 0.6815, 0.6744)  4 O 1.62-1.69
Si (0.3105, 0.3456, 0.9929)  4 O 1.62-1.69
Si (0.4385, 0.1896, 0.4057)  4 O 1.62-1.70
Si (0.4782, 0.6616, 0.7228)  4 O 1.61-1.69
Si (0.5218, 0.3384, 0.2228)  4 O 1.61-1.69
Si (0.5615, 0.8104, 0.9057)  4 O 1.62-1.70
Si (0.6895, 0.6544, 0.4929)  4 O 1.62-1.69
Si (0.7251, 0.3185, 0.1744)  4 O 1.62-1.69
Si (0.7749, 0.8185, 0.6744)  4 O 1.62-1.69
Si (0.8105, 0.1544, 0.9929)  4 O 1.62-1.69
Si (0.9385, 0.3104, 0.4057)  4 O 1.62-1.70
Si (0.9782, 0.8384, 0.7228)  4 O 1.61-1.69
O (0.0238, 0.4400, 0.1680)  1 Si 1.61
O (0.0332, 0.2161, 0.3375)  2 Si 1.66-1.70
O (0.0356, 0.7689, 0.0147)  1 Si 1.64
O (0.0647, 0.0477, 0.7012)  1 Si 1.63
O (0.0743, 0.3750, 0.8846)  1 Si 1.63
O (0.0935, 0.6742, 0.5163)  1 Si 1.62
O (0.1249, 0.9999, 0.1960)  2 Si 1.69
O (0.1559, 0.8607, 0.8753)  1 Si 1.62
O (0.1769, 0.1588, 0.5186)  1 Si 1.64
O (0.1848, 0.4853, 0.6963)  1 Si 1.62
O (0.2164, 0.2463, 0.0603)  2 Si 1.66-1.69
O (0.2155, 0.8230, 0.3807)  1 Si 1.64
O (0.2177, 0.4552, 0.2336)  1 Si 1.63
O (0.2823, 0.9552, 0.7336)  1 Si 1.63
O (0.2845, 0.3230, 0.8807)  1 Si 1.64
O (0.2836, 0.7463, 0.5603)  2 Si 1.66-1.69
O (0.3152, 0.9853, 0.1963)  1 Si 1.62
O (0.3231, 0.6588, 0.0186)  1 Si 1.64
O (0.3441, 0.3607, 0.3753)  1 Si 1.62
O (0.3751, 0.4999, 0.6960)  2 Si 1.69
O (0.4065, 0.1742, 0.0163)  1 Si 1.62
O (0.4257, 0.8750, 0.3846)  1 Si 1.63
O (0.4353, 0.5477, 0.2012)  1 Si 1.63
O (0.4644, 0.2689, 0.5147)  1 Si 1.64
O (0.4668, 0.7161, 0.8375)  2 Si 1.66-1.70
O (0.4762, 0.9400, 0.6680)  1 Si 1.61
O (0.5238, 0.0600, 0.1680)  1 Si 1.61
O (0.5332, 0.2839, 0.3375)  2 Si 1.66-1.70
O (0.5356, 0.7311, 0.0147)  1 Si 1.64
O (0.5647, 0.4523, 0.7012)  1 Si 1.63
O (0.5743, 0.1250, 0.8846)  1 Si 1.63
O (0.5935, 0.8258, 0.5163)  1 Si 1.62
O (0.6249, 0.5001, 0.1960)  2 Si 1.69
O (0.6559, 0.6393, 0.8753)  1 Si 1.62
O (0.6769, 0.3412, 0.5186)  1 Si 1.64
O (0.6848, 0.0147, 0.6963)  1 Si 1.62
O (0.7164, 0.2537, 0.0603)  2 Si 1.66-1.69
O (0.7155, 0.6770, 0.3807)  1 Si 1.64
O (0.7177, 0.0448, 0.2336)  1 Si 1.63
O (0.7823, 0.5448, 0.7336)  1 Si 1.63
O (0.7845, 0.1770, 0.8807)  1 Si 1.64
O (0.7836, 0.7537, 0.5603)  2 Si 1.66-1.69
O (0.8152, 0.5147, 0.1963)  1 Si 1.62
O (0.8231, 0.8412, 0.0186)  1 Si 1.64
O (0.8441, 0.1393, 0.3753)  1 Si 1.62
O (0.8751, 0.0001, 0.6960)  2 Si 1.69
O (0.9065, 0.3258, 0.0163)  1 Si 1.62
O (0.9257, 0.6250, 0.3846)  1 Si 1.63
O (0.9353, 0.9523, 0.2012)  1 Si 1.63
O (0.9644, 0.2311, 0.5147)  1 Si 1.64
O (0.9668, 0.7839, 0.8375)  2 Si 1.66-1.70
O (0.9762, 0.5601, 0.6680)  1 Si 1.61

ΔE_f = -69.1 eV per formula unit
Total moment = 2.003 μB per formula unit
Symmetry = No. 33
Raw total energy = -678.6 eV per cell
Crystal system = orthorhombic



A plane-wave DFT calculation with PBE-GGA was carried out for a relaxed LiTiSi4O10 crystal.

abc: 8.0172 5.2667 11.5715
angles: 90.00 111.01 90.00
Closest atoms and distances in Å follow each position.
Fractional coordinates of all 32 atoms:
Li (0.0000, 0.2456, 0.2500)  4 O 1.94-1.95
Li (0.0000, 0.7544, 0.7500)  4 O 1.94-1.95
Ti (0.0000, 0.2523, 0.7500)  4 O 1.92
Ti (0.0000, 0.7477, 0.2500)  4 O 1.92
Si (0.2992, 0.0362, 0.5000)  4 O 1.62-1.64
Si (0.2987, 0.4619, 0.1511)  4 O 1.62-1.64
Si (0.2987, 0.5381, 0.6511)  4 O 1.62-1.64
Si (0.2992, 0.9638, 0.0000)  4 O 1.62-1.64
Si (0.7008, 0.0362, 0.0000)  4 O 1.62-1.64
Si (0.7013, 0.4619, 0.3489)  4 O 1.62-1.64
Si (0.7013, 0.5381, 0.8489)  4 O 1.62-1.64
Si (0.7008, 0.9638, 0.5000)  4 O 1.62-1.64
O (0.1514, 0.0074, 0.8617)  1 Si 1.63
O (0.1514, 0.9926, 0.3617)  1 Si 1.63
O (0.1533, 0.5002, 0.2180)  1 Si 1.63
O (0.1533, 0.4998, 0.7180)  1 Si 1.63
O (0.2711, 0.1719, 0.0966)  2 Si 1.64
O (0.2713, 0.3260, 0.5420)  2 Si 1.64
O (0.2713, 0.6740, 0.0420)  2 Si 1.64
O (0.2711, 0.8281, 0.5966)  2 Si 1.64
O (0.5000, 0.0000, 0.0000)  2 Si 1.62
O (0.5000, 0.0000, 0.5000)  2 Si 1.62
O (0.5000, 0.4966, 0.2500)  2 Si 1.62
O (0.5000, 0.5034, 0.7500)  2 Si 1.62
O (0.7289, 0.1719, 0.4034)  2 Si 1.64
O (0.7287, 0.3260, 0.9580)  2 Si 1.64
O (0.7287, 0.6740, 0.4580)  2 Si 1.64
O (0.7289, 0.8281, 0.9034)  2 Si 1.64
O (0.8467, 0.5002, 0.2820)  1 Si 1.63
O (0.8467, 0.4998, 0.7820)  1 Si 1.63
O (0.8486, 0.0074, 0.6383)  1 Si 1.63
O (0.8486, 0.9926, 0.1383)  1 Si 1.63

ΔE_f = -50.3 eV per formula unit
ΔE to the lowest computed polymorph = 0 meV/atom
Total moment = 1.000 μB per formula unit
Symmetry = No. 13
Raw total energy = -248.8 eV per cell
Crystal system = monoclinic



A plane-wave DFT calculation with PBE-GGA was carried out for a relaxed Li3TiSi6O15 crystal.

abc: 15.0175 7.9395 9.8881
angles: 90.00 90.00 90.00
Closest atoms and distances in Å follow each position.
Fractional coordinates of all 100 atoms:
Li (0.0653, 0.2500, 0.0800)  5 O 2.13-2.23
Li (0.2418, 0.5013, 0.5020)  2 O 1.99-2.04
Li (0.2418, 0.9987, 0.5020)  2 O 1.99-2.04
Li (0.2582, 0.0013, 0.0020)  2 O 1.99-2.04
Li (0.2582, 0.4987, 0.0020)  2 O 1.99-2.04
Li (0.4347, 0.7500, 0.5800)  5 O 2.13-2.23
Li (0.5653, 0.2500, 0.4200)  5 O 2.13-2.23
Li (0.7418, 0.5013, 0.9980)  2 O 1.99-2.04
Li (0.7418, 0.9987, 0.9980)  2 O 1.99-2.04
Li (0.7582, 0.0013, 0.4980)  2 O 1.99-2.04
Li (0.7582, 0.4987, 0.4980)  2 O 1.99-2.04
Li (0.9347, 0.7500, 0.9200)  5 O 2.13-2.23
Ti (0.2486, 0.7500, 0.7545)  6 O 2.06-2.13
Ti (0.2514, 0.2500, 0.2545)  6 O 2.06-2.13
Ti (0.7486, 0.7500, 0.7455)  6 O 2.06-2.13
Ti (0.7514, 0.2500, 0.2455)  6 O 2.06-2.13
Si (0.0974, 0.2500, 0.5309)  4 O 1.60-1.65
Si (0.0983, 0.7500, 0.4716)  4 O 1.60-1.66
Si (0.0988, 0.0582, 0.7979)  4 O 1.60-1.69
Si (0.0988, 0.4418, 0.7979)  4 O 1.60-1.69
Si (0.0993, 0.5607, 0.2044)  4 O 1.60-1.67
Si (0.0993, 0.9393, 0.2044)  4 O 1.60-1.67
Si (0.4007, 0.0607, 0.7044)  4 O 1.60-1.67
Si (0.4007, 0.4393, 0.7044)  4 O 1.60-1.67
Si (0.4012, 0.5582, 0.2979)  4 O 1.60-1.69
Si (0.4012, 0.9418, 0.2979)  4 O 1.60-1.69
Si (0.4017, 0.2500, 0.9716)  4 O 1.60-1.66
Si (0.4026, 0.7500, 0.0309)  4 O 1.60-1.65
Si (0.5974, 0.2500, 0.9691)  4 O 1.60-1.65
Si (0.5983, 0.7500, 0.0284)  4 O 1.60-1.66
Si (0.5988, 0.0582, 0.7021)  4 O 1.60-1.69
Si (0.5988, 0.4418, 0.7021)  4 O 1.60-1.69
Si (0.5993, 0.5607, 0.2956)  4 O 1.60-1.67
Si (0.5993, 0.9393, 0.2956)  4 O 1.60-1.67
Si (0.9007, 0.0607, 0.7956)  4 O 1.60-1.67
Si (0.9007, 0.4393, 0.7956)  4 O 1.60-1.67
Si (0.9012, 0.5582, 0.2021)  4 O 1.60-1.69
Si (0.9012, 0.9418, 0.2021)  4 O 1.60-1.69
Si (0.9017, 0.2500, 0.5284)  4 O 1.60-1.66
Si (0.9026, 0.7500, 0.4691)  4 O 1.60-1.65
O (0.0004, 0.0219, 0.1627)  2 Si 1.67
O (0.0000, 0.2500, 0.4566)  2 Si 1.64
O (0.0004, 0.4781, 0.1627)  2 Si 1.67
O (0.9996, 0.5219, 0.8373)  2 Si 1.67
O (0.0000, 0.7500, 0.5434)  2 Si 1.64
O (0.9996, 0.9781, 0.8373)  2 Si 1.67
O (0.0988, 0.2500, 0.8710)  2 Si 1.69
O (0.1029, 0.0862, 0.6339)  2 Si 1.64-1.65
O (0.1029, 0.4138, 0.6339)  2 Si 1.64-1.65
O (0.1053, 0.5853, 0.3689)  2 Si 1.64-1.66
O (0.1053, 0.9147, 0.3689)  2 Si 1.64-1.66
O (0.1060, 0.7500, 0.1354)  2 Si 1.65
O (0.1711, 0.0721, 0.1494)  1 Si 1.60
O (0.1711, 0.4279, 0.1494)  1 Si 1.60
O (0.1800, 0.5569, 0.8464)  1 Si 1.60
O (0.1800, 0.9431, 0.8464)  1 Si 1.60
O (0.1823, 0.2500, 0.4338)  1 Si 1.60
O (0.1815, 0.7500, 0.5719)  1 Si 1.60
O (0.3185, 0.2500, 0.0719)  1 Si 1.60
O (0.3177, 0.7500, 0.9338)  1 Si 1.60
O (0.3200, 0.0569, 0.3464)  1 Si 1.60
O (0.3200, 0.4431, 0.3464)  1 Si 1.60
O (0.3289, 0.5721, 0.6494)  1 Si 1.60
O (0.3289, 0.9279, 0.6494)  1 Si 1.60
O (0.3940, 0.2500, 0.6354)  2 Si 1.65
O (0.3947, 0.0853, 0.8689)  2 Si 1.64-1.66
O (0.3947, 0.4147, 0.8689)  2 Si 1.64-1.66
O (0.3971, 0.5862, 0.1339)  2 Si 1.64-1.65
O (0.3971, 0.9138, 0.1339)  2 Si 1.64-1.65
O (0.4012, 0.7500, 0.3710)  2 Si 1.69
O (0.5004, 0.0219, 0.3373)  2 Si 1.67
O (0.5000, 0.2500, 0.0434)  2 Si 1.64
O (0.5004, 0.4781, 0.3373)  2 Si 1.67
O (0.4996, 0.5219, 0.6627)  2 Si 1.67
O (0.5000, 0.7500, 0.9566)  2 Si 1.64
O (0.4996, 0.9781, 0.6627)  2 Si 1.67
O (0.5988, 0.2500, 0.6290)  2 Si 1.69
O (0.6029, 0.0862, 0.8661)  2 Si 1.64-1.65
O (0.6029, 0.4138, 0.8661)  2 Si 1.64-1.65
O (0.6053, 0.5853, 0.1311)  2 Si 1.64-1.66
O (0.6053, 0.9147, 0.1311)  2 Si 1.64-1.66
O (0.6060, 0.7500, 0.3646)  2 Si 1.65
O (0.6711, 0.0721, 0.3506)  1 Si 1.60
O (0.6711, 0.4279, 0.3506)  1 Si 1.60
O (0.6800, 0.5569, 0.6536)  1 Si 1.60
O (0.6800, 0.9431, 0.6536)  1 Si 1.60
O (0.6823, 0.2500, 0.0662)  1 Si 1.60
O (0.6815, 0.7500, 0.9281)  1 Si 1.60
O (0.8185, 0.2500, 0.4281)  1 Si 1.60
O (0.8177, 0.7500, 0.5662)  1 Si 1.60
O (0.8200, 0.0569, 0.1536)  1 Si 1.60
O (0.8200, 0.4431, 0.1536)  1 Si 1.60
O (0.8289, 0.5721, 0.8506)  1 Si 1.60
O (0.8289, 0.9279, 0.8506)  1 Si 1.60
O (0.8940, 0.2500, 0.8646)  2 Si 1.65
O (0.8947, 0.0853, 0.6311)  2 Si 1.64-1.66
O (0.8947, 0.4147, 0.6311)  2 Si 1.64-1.66
O (0.8971, 0.5862, 0.3661)  2 Si 1.64-1.65
O (0.8971, 0.9138, 0.3661)  2 Si 1.64-1.65
O (0.9012, 0.7500, 0.1290)  2 Si 1.69

ΔE_f = -77.0 eV per formula unit
ΔE to the lowest computed polymorph = 4 meV/atom
Total moment = 1.003 μB per formula unit
Symmetry = No. 62
Raw total energy = -748.3 eV per cell
Crystal system = orthorhombic